Entry 1:
This record from Materials Project describes crystalline NiHg at its relaxed geometry. The functional is PBE.

Lattice parameters (Å, degrees): 3.102 3.102 3.258 90.00 90.00 90.00
Positions (direct):
1 Ni 0.500 0.500 0.500
2 Hg 0.000 0.000 0.000

## Properties
- calculated formation energy (eV per atom) = 0.22


Entry 2:
This record from Materials Project describes crystalline PrBrO2 at its relaxed geometry. The functional is PBE.

Lattice parameters (Å, degrees): 4.453 5.175 6.808 73.58 90.00 90.00
Positions (direct):
1 Pr 0.250 0.195 0.655
2 Pr 0.750 0.805 0.345
3 Br 0.250 0.220 0.099
4 Br 0.750 0.780 0.901
5 O 0.250 0.751 0.546
6 O 0.750 0.249 0.454
7 O 0.250 0.617 0.377
8 O 0.750 0.383 0.623

## Properties
- calculated formation energy (eV per atom) = -2.21
- MP2020-corrected energy (eV per formula unit) = -25.2


Entry 3:
This record from Materials Project describes crystalline K2RbAlCl6 at its relaxed geometry. The functional is PBE.

Lattice parameters (Å, degrees): 7.658 7.658 7.658 60.00 60.00 60.00
Positions (direct):
1 K 0.750 0.750 0.750
2 K 0.250 0.250 0.250
3 Rb 0.500 0.500 0.500
4 Al 0.000 0.000 0.000
5 Cl 0.784 0.216 0.216
6 Cl 0.216 0.216 0.784
7 Cl 0.216 0.784 0.784
8 Cl 0.216 0.784 0.216
9 Cl 0.784 0.216 0.784
10 Cl 0.784 0.784 0.216

## Properties
- calculated formation energy (eV per atom) = -2.10
- MP2020-corrected energy (eV per formula unit) = -39.1


Entry 4:
This record from Materials Project describes crystalline Sr4LiSm2Ta2O12 at its relaxed geometry. The functional is PBE.

Lattice parameters (Å, degrees): 5.939 6.050 8.489 90.69 88.20 89.93
Positions (direct):
1 Sr 0.026 0.429 0.292
2 Sr 0.997 0.542 0.729
3 Sr 0.502 0.955 0.247
4 Sr 0.502 0.037 0.746
5 Li 0.868 0.601 0.052
6 Sm 0.005 0.989 0.501
7 Sm 0.461 0.498 0.995
8 Ta 0.992 0.020 0.999
9 Ta 0.511 0.496 0.497
10 O 0.917 0.032 0.234
11 O 0.078 0.976 0.769
12 O 0.598 0.532 0.260
13 O 0.417 0.465 0.731
14 O 0.151 0.714 0.045
15 O 0.825 0.306 0.961
16 O 0.321 0.222 0.452
17 O 0.695 0.766 0.550
18 O 0.282 0.175 0.042
19 O 0.705 0.826 0.966
20 O 0.234 0.684 0.466
21 O 0.787 0.307 0.536

## Properties
- calculated formation energy (eV per atom) = -3.28
- MP2020-corrected energy (eV per formula unit) = -170.2
- energy above the most stable polymorph in this dataset (eV/atom) = 0.0129


Entry 5:
This record from Materials Project describes crystalline Sm2ZnAg at its relaxed geometry. The functional is PBE.

Lattice parameters (Å, degrees): 5.211 5.211 5.211 60.00 60.00 60.00
Positions (direct):
1 Sm 0.250 0.250 0.250
2 Sm 0.750 0.750 0.750
3 Zn 0.000 0.000 0.000
4 Ag 0.500 0.500 0.500

## Properties
- calculated formation energy (eV per atom) = -0.30


Entry 6:
This record from Materials Project describes crystalline Na2SiSnGeP2O12 at its relaxed geometry. The functional is PBE.

Lattice parameters (Å, degrees): 8.703 8.722 22.127 90.03 90.07 119.84
Positions (direct):
1 Na 0.001 0.638 0.250
2 Na 0.367 0.997 0.752
3 Na 0.665 0.970 0.587
4 Na 0.036 0.334 0.084
5 Na 0.968 0.668 0.918
6 Na 0.328 0.027 0.419
7 Na 0.003 0.996 0.500
8 Na 0.002 0.998 0.998
9 Na 0.666 0.328 0.837
10 Na 0.671 0.333 0.330
11 Na 0.350 0.675 0.166
12 Na 0.326 0.652 0.669
13 Si 0.000 0.297 0.247
14 Si 0.710 0.992 0.755
15 Si 0.371 0.042 0.583
16 Si 0.951 0.617 0.080
17 Si 0.338 0.962 0.917
18 Si 0.041 0.665 0.412
19 Sn 0.994 0.001 0.349
20 Sn 0.004 0.001 0.650
21 Sn 0.999 0.994 0.146
22 Sn 0.671 0.334 0.690
23 Sn 0.671 0.339 0.478
24 Sn 0.327 0.666 0.519
25 Ge 0.005 0.009 0.855
26 Ge 0.670 0.330 0.183
27 Ge 0.658 0.330 0.980
28 Ge 0.330 0.674 0.018
29 Ge 0.327 0.657 0.313
30 Ge 0.343 0.674 0.817
31 P 0.307 0.005 0.250
32 P 0.695 0.698 0.249
33 P 0.286 0.298 0.756
34 P 0.003 0.709 0.756
35 P 0.961 0.335 0.584
36 P 0.667 0.624 0.584
37 P 0.656 0.045 0.081
38 P 0.389 0.341 0.082
39 P 0.616 0.667 0.918
40 P 0.050 0.379 0.917
41 P 0.620 0.948 0.415
42 P 0.333 0.382 0.414
43 O 0.231 0.041 0.308
44 O 0.823 0.771 0.304
45 O 0.954 0.173 0.306
46 O 0.204 0.165 0.809
47 O 0.974 0.797 0.813
48 O 0.844 0.028 0.811
49 O 0.780 0.960 0.690
50 O 0.181 0.227 0.696
51 O 0.051 0.827 0.699
52 O 0.774 0.818 0.193
53 O 0.040 0.218 0.186
54 O 0.172 0.950 0.197
55 O 0.884 0.371 0.641
56 O 0.493 0.123 0.644
57 O 0.639 0.515 0.642
58 O 0.869 0.494 0.140
59 O 0.624 0.123 0.139
60 O 0.500 0.366 0.139
61 O 0.467 0.303 0.025
62 O 0.832 0.526 0.019
63 O 0.698 0.168 0.026
64 O 0.454 0.153 0.520
65 O 0.702 0.548 0.526
66 O 0.844 0.297 0.527
67 O 0.531 0.699 0.975
68 O 0.162 0.456 0.976
69 O 0.284 0.823 0.973
70 O 0.551 0.850 0.476
71 O 0.305 0.456 0.473
72 O 0.164 0.715 0.472
73 O 0.135 0.640 0.352
74 O 0.496 0.855 0.361
75 O 0.363 0.498 0.358
76 O 0.137 0.506 0.863
77 O 0.370 0.875 0.855
78 O 0.501 0.630 0.861
79 O 0.029 0.846 0.408
80 O 0.805 0.972 0.411
81 O 0.169 0.194 0.410
82 O 0.032 0.194 0.911
83 O 0.153 0.974 0.909
84 O 0.806 0.831 0.913
85 O 0.968 0.162 0.589
86 O 0.177 0.023 0.587
87 O 0.828 0.813 0.588
88 O 0.973 0.814 0.085
89 O 0.829 0.033 0.086
90 O 0.199 0.177 0.086
91 O 0.681 0.166 0.753
92 O 0.472 0.314 0.750
93 O 0.833 0.529 0.750
94 O 0.678 0.514 0.240
95 O 0.825 0.323 0.240
96 O 0.485 0.173 0.239
97 O 0.643 0.502 0.923
98 O 0.864 0.365 0.922
99 O 0.514 0.157 0.925
100 O 0.628 0.131 0.417
101 O 0.497 0.356 0.416
102 O 0.850 0.486 0.415
103 O 0.369 0.508 0.076
104 O 0.148 0.629 0.074
105 O 0.492 0.858 0.074
106 O 0.365 0.851 0.582
107 O 0.500 0.643 0.579
108 O 0.147 0.494 0.580
109 O 0.327 0.839 0.257
110 O 0.515 0.687 0.260
111 O 0.175 0.496 0.255
112 O 0.300 0.479 0.765
113 O 0.169 0.687 0.762
114 O 0.510 0.817 0.760

## Properties
- calculated formation energy (eV per atom) = -2.52
- MP2020-corrected energy (eV per formula unit) = -134.9


Entry 7:
This record from Materials Project describes crystalline KCuF3 at its relaxed geometry. The functional is PBE.

Lattice parameters (Å, degrees): 5.755 5.755 5.755 119.84 119.84 90.28
Positions (direct):
1 K 0.250 0.250 0.000
2 K 0.750 0.750 0.000
3 Cu 0.500 0.000 0.500
4 Cu 0.000 0.500 0.500
5 F 0.757 0.257 0.014
6 F 0.257 0.243 0.500
7 F 0.743 0.757 0.500
8 F 0.243 0.743 0.986
9 F 0.250 0.750 0.500
10 F 0.750 0.250 0.500

## Properties
- calculated formation energy (eV per atom) = -2.36
- MP2020-corrected energy (eV per formula unit) = -22.7


Entry 8:
This record from Materials Project describes crystalline Hg2Br2N at its relaxed geometry. The functional is PBE.

Lattice parameters (Å, degrees): 7.195 7.195 6.222 90.00 90.00 120.00
Positions (direct):
1 Hg 0.000 0.000 0.500
2 Hg 0.497 0.497 0.000
3 Hg 0.000 0.503 0.000
4 Hg 0.503 0.000 0.000
5 Br 0.000 0.000 0.000
6 Br 0.365 0.365 0.500
7 Br 0.000 0.635 0.500
8 Br 0.635 0.000 0.500
9 N 0.333 0.667 0.012
10 N 0.667 0.333 0.988

## Properties
- calculated formation energy (eV per atom) = 0.20
- MP2020-corrected energy (eV per formula unit) = -11.2


| no. | VASP energy (Ry per atom) |
| --- | --- |
| 1 | -0.2075 |
| 2 | -0.4451 |
| 3 | -0.2602 |
| 4 | -0.5667 |
| 5 | -0.2705 |
| 6 | -0.4898 |
| 7 | -0.3139 |
| 8 | -0.1599 |